First-principles (PBE) data for a geometry-optimized YSi2Pt2 structure, as listed in Materials Project.

## Properties
- Space group: I4/mmm, No. 139
- Spin magnetization: 0.00 μB/f.u.
- DFT formation energy: -1030 meV/atom
- E: -34.6 eV per cell

Cell: 5.781 5.781 5.781 Å, 137.55 137.55 61.60°
Element x y z (fractional)
Y (0.000, 0.000, 0.000)
Si (0.383, 0.383, 0.000)
Si (0.617, 0.617, 0.000)
Pt (0.250, 0.750, 0.500)
Pt (0.750, 0.250, 0.500)